(1)
A relaxed structure of NaCaZr3P3S3O24. Source: the Materials Project database, functional PBE.

Lattice parameters (Å, degrees): 9.003 9.016 23.573 89.85 89.88 60.07
Positions (direct):
Na1 0.000 0.000 0.000
Na2 0.002 0.983 0.499
Na3 0.342 0.317 0.163
Ca1 0.001 0.998 0.146
Ca2 0.008 0.981 0.644
Ca3 0.342 0.318 0.015
Zr1 0.006 0.999 0.350
Zr2 0.014 0.990 0.848
Zr3 0.330 0.333 0.518
Zr4 0.343 0.320 0.314
Zr5 0.347 0.324 0.813
Zr6 0.664 0.658 0.972
Zr7 0.666 0.658 0.191
Zr8 0.671 0.657 0.685
Zr9 0.675 0.660 0.470
P1 0.052 0.321 0.415
P2 0.295 0.997 0.247
P3 0.298 0.696 0.747
P4 0.333 0.616 0.414
P5 0.334 0.035 0.914
P6 0.628 0.040 0.416
P7 0.636 0.318 0.914
P8 0.708 0.282 0.247
P9 0.954 0.657 0.578
S1 0.006 0.286 0.747
S2 0.007 0.695 0.248
S3 0.043 0.621 0.913
S4 0.386 0.658 0.081
S5 0.388 0.945 0.578
S6 0.667 0.375 0.578
S7 0.672 0.939 0.081
S8 0.710 0.991 0.748
S9 0.952 0.377 0.080
O1 0.016 0.797 0.902
O2 0.031 0.161 0.407
O3 0.038 0.184 0.697
O4 0.039 0.764 0.196
O5 0.122 0.365 0.079
O6 0.125 0.512 0.863
O7 0.131 0.491 0.570
O8 0.134 0.349 0.362
O9 0.145 0.554 0.964
O10 0.153 0.311 0.761
O11 0.155 0.520 0.257
O12 0.165 0.293 0.467
O13 0.173 0.795 0.406
O14 0.181 0.003 0.901
O15 0.190 0.766 0.695
O16 0.192 0.030 0.194
O17 0.207 0.967 0.300
O18 0.209 0.815 0.799
O19 0.215 0.968 0.582
O20 0.217 0.814 0.081
O21 0.293 0.139 0.967
O22 0.306 0.528 0.467
O23 0.323 0.151 0.259
O24 0.323 0.518 0.764
O25 0.359 0.123 0.861
O26 0.361 0.504 0.362
O27 0.373 0.502 0.079
O28 0.378 0.114 0.572
O29 0.474 0.837 0.528
O30 0.476 0.835 0.239
O31 0.477 0.669 0.029
O32 0.479 0.676 0.737
O33 0.488 0.647 0.132
O34 0.489 0.862 0.631
O35 0.491 0.635 0.426
O36 0.495 0.854 0.922
O37 0.511 0.361 0.572
O38 0.516 0.108 0.080
O39 0.517 0.122 0.362
O40 0.519 0.348 0.861
O41 0.524 0.316 0.259
O42 0.536 0.139 0.760
O43 0.540 0.153 0.468
O44 0.567 0.283 0.967
O45 0.644 0.863 0.424
O46 0.645 0.478 0.631
O47 0.655 0.480 0.922
O48 0.662 0.847 0.132
O49 0.680 0.838 0.029
O50 0.685 0.464 0.528
O51 0.691 0.837 0.740
O52 0.692 0.462 0.239
O53 0.774 0.178 0.194
O54 0.777 0.028 0.697
O55 0.809 0.016 0.406
O56 0.817 0.165 0.899
O57 0.820 0.205 0.583
O58 0.820 0.963 0.798
O59 0.824 0.193 0.300
O60 0.829 0.951 0.081
O61 0.841 0.670 0.527
O62 0.849 0.458 0.740
O63 0.851 0.470 0.028
O64 0.851 0.678 0.240
O65 0.861 0.478 0.132
O66 0.865 0.637 0.633
O67 0.871 0.639 0.921
O68 0.873 0.478 0.424
O69 0.966 0.208 0.080
O70 0.974 0.203 0.798
O71 0.974 0.815 0.580
O72 0.980 0.804 0.298

## Properties
ρ   2.734 Mg/m³
SG   No. 1
Magnetization   0.0 μB/cell
Formation enthalpy at 0 K   -2.82 eV per atom


(2)
A relaxed structure of NaCaZrPS2O12. Source: the Materials Project database, functional PBE.

Lattice parameters (Å, degrees): 9.060 9.060 23.760 90.31 90.31 60.04
Positions (direct):
Na1 0.001 0.999 0.500
Na2 0.310 0.332 0.334
Na3 0.332 0.310 0.834
Na4 0.655 0.674 0.667
Na5 0.674 0.655 0.167
Na6 0.999 0.001 0.000
Ca1 0.320 0.322 0.477
Ca2 0.322 0.320 0.977
Ca3 0.655 0.666 0.810
Ca4 0.666 0.655 0.310
Ca5 0.991 0.993 0.143
Ca6 0.993 0.991 0.643
Zr1 0.305 0.337 0.181
Zr2 0.337 0.305 0.681
Zr3 0.654 0.663 0.014
Zr4 0.663 0.654 0.514
Zr5 0.991 0.992 0.347
Zr6 0.992 0.991 0.847
P1 0.024 0.331 0.077
P2 0.331 0.024 0.577
P3 0.361 0.951 0.911
P4 0.700 0.993 0.744
P5 0.951 0.361 0.411
P6 0.993 0.700 0.244
S1 0.030 0.615 0.579
S2 0.283 0.692 0.745
S3 0.283 0.997 0.245
S4 0.331 0.616 0.078
S5 0.363 0.663 0.412
S6 0.615 0.030 0.079
S7 0.616 0.331 0.578
S8 0.663 0.363 0.912
S9 0.664 0.950 0.412
S10 0.692 0.283 0.245
S11 0.950 0.664 0.912
S12 0.997 0.283 0.745
O1 0.002 0.788 0.585
O2 0.017 0.792 0.298
O3 0.022 0.174 0.797
O4 0.115 0.508 0.630
O5 0.117 0.356 0.132
O6 0.123 0.522 0.919
O7 0.129 0.539 0.528
O8 0.130 0.311 0.026
O9 0.130 0.333 0.417
O10 0.158 0.297 0.741
O11 0.167 0.516 0.240
O12 0.174 0.022 0.297
O13 0.175 0.782 0.797
O14 0.179 0.961 0.905
O15 0.180 0.997 0.585
O16 0.185 0.787 0.085
O17 0.189 0.825 0.407
O18 0.205 0.795 0.695
O19 0.205 0.977 0.195
O20 0.290 0.523 0.740
O21 0.297 0.158 0.241
O22 0.311 0.130 0.526
O23 0.313 0.536 0.028
O24 0.333 0.130 0.917
O25 0.340 0.517 0.419
O26 0.354 0.507 0.130
O27 0.356 0.117 0.632
O28 0.449 0.688 0.463
O29 0.454 0.850 0.253
O30 0.455 0.665 0.752
O31 0.455 0.834 0.965
O32 0.461 0.645 0.361
O33 0.464 0.864 0.859
O34 0.493 0.627 0.074
O35 0.502 0.844 0.571
O36 0.507 0.354 0.630
O37 0.508 0.115 0.130
O38 0.516 0.167 0.740
O39 0.517 0.340 0.919
O40 0.522 0.123 0.419
O41 0.523 0.290 0.240
O42 0.536 0.313 0.528
O43 0.539 0.129 0.028
O44 0.626 0.857 0.073
O45 0.627 0.493 0.574
O46 0.639 0.874 0.362
O47 0.645 0.461 0.861
O48 0.665 0.455 0.252
O49 0.669 0.844 0.750
O50 0.687 0.841 0.463
O51 0.688 0.449 0.963
O52 0.782 0.175 0.297
O53 0.787 0.185 0.585
O54 0.788 0.002 0.085
O55 0.792 0.017 0.798
O56 0.795 0.205 0.195
O57 0.799 0.979 0.692
O58 0.825 0.189 0.907
O59 0.828 0.958 0.407
O60 0.834 0.455 0.465
O61 0.841 0.687 0.963
O62 0.844 0.502 0.071
O63 0.844 0.669 0.250
O64 0.850 0.454 0.753
O65 0.857 0.626 0.573
O66 0.864 0.464 0.359
O67 0.874 0.639 0.862
O68 0.958 0.828 0.907
O69 0.961 0.179 0.405
O70 0.977 0.205 0.695
O71 0.979 0.799 0.192
O72 0.997 0.180 0.085

## Properties
ρ   2.603 Mg/m³
SG   No. 9
Magnetization   0.0 μB/cell
Formation enthalpy at 0 K   -2.66 eV per atom


(3)
A relaxed structure of Na2CaZrP2SO12. Source: the Materials Project database, functional PBE.

Lattice parameters (Å, degrees): 9.144 9.199 23.019 90.39 90.00 119.81
Positions (direct):
O1 0.121 0.635 0.361
O2 0.861 0.543 0.744
O3 0.181 0.969 0.194
O4 0.665 0.138 0.746
O5 0.682 0.543 0.244
Ca1 0.331 0.664 0.019
O6 0.178 0.201 0.702
O7 0.468 0.339 0.137
O8 0.513 0.147 0.922
O9 0.144 0.676 0.081
O10 0.857 0.488 0.420
Ca2 0.998 0.997 0.352
Na1 0.641 0.635 0.741
O11 0.298 0.821 0.254
Na2 0.302 0.631 0.661
Na3 0.307 0.969 0.075
P1 0.344 0.972 0.922
O12 0.120 0.483 0.864
S1 0.345 0.377 0.416
P2 0.962 0.639 0.088
P3 0.677 0.639 0.588
O13 0.538 0.673 0.970
Zr1 0.335 0.678 0.316
O14 0.631 0.488 0.920
O15 0.634 0.147 0.422
O16 0.696 0.150 0.031
O17 0.512 0.868 0.368
O18 0.180 0.480 0.255
P4 0.010 0.306 0.255
S2 0.011 0.711 0.749
Ca3 0.333 0.664 0.519
P5 0.366 0.327 0.084
O19 0.559 0.882 0.478
O20 0.871 0.339 0.637
O21 0.349 0.877 0.577
P6 0.699 0.994 0.751
Zr2 0.669 0.345 0.982
O22 0.848 0.302 0.528
O23 0.023 0.201 0.202
O24 0.140 0.472 0.579
Na4 0.328 0.302 0.908
O25 0.191 0.155 0.087
O26 0.325 0.454 0.468
O27 0.657 0.549 0.645
S3 0.678 0.044 0.082
O28 0.128 0.454 0.968
O29 0.811 0.009 0.415
O30 0.524 0.821 0.754
O31 0.300 0.480 0.755
Na5 0.662 0.297 0.828
O32 0.659 0.121 0.135
P7 0.032 0.661 0.417
P8 0.629 0.972 0.422
S4 0.366 0.044 0.582
O33 0.788 0.969 0.694
O34 0.846 0.814 0.588
O35 0.990 0.215 0.312
Ca4 0.999 0.997 0.852
O36 0.795 0.787 0.302
O37 0.167 0.696 0.752
Na6 0.969 0.964 0.994
O38 0.529 0.696 0.252
Na7 0.661 0.969 0.575
O39 0.205 0.006 0.303
Zr3 0.676 0.345 0.482
Zr4 0.343 0.678 0.816
Zr5 0.002 0.012 0.649
O40 0.801 0.006 0.803
Na8 0.974 0.302 0.408
O41 0.332 0.472 0.079
Ca5 0.666 0.330 0.185
O42 0.473 0.138 0.246
O43 0.514 0.635 0.861
Ca6 0.664 0.330 0.685
O44 0.964 0.155 0.587
O45 0.323 0.882 0.978
O46 0.532 0.676 0.581
P9 0.295 0.306 0.755
O47 0.462 0.121 0.635
O48 0.501 0.363 0.418
O49 0.363 0.483 0.364
O50 0.862 0.363 0.918
O51 0.807 0.805 0.913
Na9 0.635 0.297 0.328
Na10 0.995 0.964 0.494
O52 0.477 0.342 0.748
P10 0.628 0.661 0.917
O53 0.845 0.534 0.035
O54 0.015 0.210 0.910
O55 0.967 0.814 0.088
P11 0.962 0.327 0.584
S5 0.699 0.711 0.249
Zr6 0.010 0.012 0.149
P12 0.295 0.994 0.251
O56 0.528 0.877 0.077
O57 0.195 0.210 0.410
O58 0.134 0.673 0.470
O59 0.225 0.215 0.812
O60 0.992 0.787 0.802
O61 0.892 0.549 0.145
O62 0.834 0.030 0.085
Na11 0.328 0.631 0.161
S6 0.033 0.377 0.916
O63 0.454 0.302 0.028
O64 0.865 0.342 0.248
O65 0.196 0.030 0.585
Na12 0.995 0.635 0.241
O66 0.198 0.009 0.915
O67 0.356 0.868 0.868
O68 0.690 0.534 0.535
O69 0.787 0.816 0.197
O70 0.029 0.816 0.697
O71 0.454 0.150 0.531
O72 0.998 0.805 0.413

## Properties
ρ   2.747 Mg/m³
Magnetization   0.0 μB/cell
Formation enthalpy at 0 K   -2.82 eV per atom


(4)
A relaxed structure of Na3Ca2Zr2P3S3O24. Source: the Materials Project database, functional PBE.

Lattice parameters (Å, degrees): 9.087 9.114 23.627 90.04 90.03 119.81
Positions (direct):
Na1 0.000 0.000 0.000
Na2 0.001 0.028 0.500
Na3 0.304 0.649 0.170
Na4 0.319 0.651 0.669
Na5 0.361 0.004 0.754
Na6 0.619 0.003 0.254
Na7 0.642 0.327 0.338
Na8 0.666 0.344 0.838
Na9 0.676 0.672 0.421
Ca1 0.001 0.016 0.360
Ca2 0.317 0.660 0.322
Ca3 0.322 0.667 0.822
Ca4 0.654 0.344 0.182
Ca5 0.663 0.341 0.683
Ca6 0.990 0.001 0.861
Zr1 0.322 0.677 0.023
Zr2 0.326 0.669 0.523
Zr3 0.648 0.327 0.992
Zr4 0.649 0.321 0.492
Zr5 0.984 0.002 0.646
Zr6 0.993 0.002 0.146
P1 0.329 0.971 0.920
P2 0.331 0.375 0.424
P3 0.354 0.031 0.591
P4 0.355 0.340 0.087
P5 0.614 0.967 0.420
P6 0.654 0.035 0.091
P7 0.656 0.632 0.586
P8 0.952 0.631 0.087
P9 0.958 0.339 0.588
S1 0.017 0.659 0.424
S2 0.020 0.375 0.924
S3 0.278 0.291 0.752
S4 0.283 0.000 0.252
S5 0.615 0.659 0.924
S6 0.694 0.000 0.753
S7 0.700 0.713 0.254
S8 0.987 0.292 0.251
S9 0.990 0.713 0.752
O1 0.001 0.205 0.924
O2 0.089 0.638 0.371
O3 0.091 0.466 0.871
O4 0.123 0.673 0.474
O5 0.130 0.472 0.973
O6 0.134 0.665 0.074
O7 0.137 0.488 0.575
O8 0.140 0.462 0.250
O9 0.153 0.710 0.751
O10 0.171 0.989 0.925
O11 0.174 0.195 0.701
O12 0.176 0.019 0.594
O13 0.176 0.199 0.425
O14 0.177 0.174 0.092
O15 0.183 0.998 0.200
O16 0.194 0.196 0.803
O17 0.198 0.007 0.303
O18 0.295 0.461 0.751
O19 0.299 0.845 0.249
O20 0.319 0.479 0.475
O21 0.323 0.487 0.073
O22 0.323 0.850 0.969
O23 0.325 0.854 0.576
O24 0.354 0.908 0.863
O25 0.366 0.479 0.370
O26 0.446 0.300 0.749
O27 0.447 0.092 0.647
O28 0.447 0.309 0.036
O29 0.452 0.156 0.541
O30 0.455 0.376 0.141
O31 0.457 0.151 0.250
O32 0.492 0.148 0.933
O33 0.498 0.365 0.434
O34 0.501 0.846 0.468
O35 0.505 0.856 0.076
O36 0.506 0.667 0.575
O37 0.517 0.668 0.974
O38 0.522 0.636 0.871
O39 0.523 0.845 0.751
O40 0.526 0.907 0.362
O41 0.534 0.711 0.251
O42 0.619 0.529 0.639
O43 0.620 0.094 0.146
O44 0.636 0.507 0.932
O45 0.639 0.147 0.433
O46 0.671 0.151 0.750
O47 0.676 0.542 0.250
O48 0.681 0.158 0.040
O49 0.683 0.548 0.532
O50 0.783 0.813 0.925
O51 0.785 0.969 0.423
O52 0.787 0.008 0.804
O53 0.787 0.793 0.307
O54 0.791 0.997 0.701
O55 0.803 0.822 0.204
O56 0.817 0.813 0.593
O57 0.818 0.018 0.094
O58 0.828 0.301 0.247
O59 0.834 0.541 0.036
O60 0.838 0.310 0.536
O61 0.843 0.506 0.431
O62 0.843 0.541 0.749
O63 0.849 0.361 0.932
O64 0.892 0.533 0.141
O65 0.893 0.372 0.642
O66 0.970 0.812 0.093
O67 0.973 0.174 0.592
O68 0.976 0.198 0.302
O69 0.980 0.796 0.804
O70 0.992 0.808 0.423
O71 0.996 0.195 0.200
O72 0.996 0.818 0.701

## Properties
ρ   2.655 Mg/m³
SG   No. 1
Magnetization   0.0 μB/cell
Formation enthalpy at 0 K   -2.78 eV per atom